*one*
VASP calculation (PBE+U) on crystalline Sr8MgMn6O20 at its relaxed geometry.

Computed properties:
The volume is 480.0 Å³/cell.

Cell: 5.601 6.712 13.819 Å, 91.45 91.64 112.34°
Fractional positions:
1 Sr 0.016 0.062 0.353
2 Sr 0.484 0.039 0.158
3 Sr 0.680 0.455 0.955
4 Sr 0.218 0.468 0.151
5 Sr 0.746 0.488 0.382
6 Sr 0.036 0.962 0.614
7 Sr 0.615 0.919 0.791
8 Sr 0.274 0.536 0.576
9 O 0.181 0.808 0.458
10 O 0.308 0.590 0.854
11 O 0.512 0.941 0.623
12 O 0.598 0.075 0.957
13 O 0.175 0.290 0.984
14 O 0.425 0.248 0.540
15 O 0.607 0.759 0.252
16 O 0.482 0.258 0.759
17 O 0.029 0.952 0.869
18 O 0.997 0.065 0.156
19 O 0.084 0.738 0.059
20 O 0.697 0.431 0.152
21 O 0.628 0.758 0.055
22 O 0.871 0.225 0.519
23 O 0.629 0.790 0.450
24 O 0.964 0.243 0.720
25 O 0.529 0.085 0.355
26 O 0.224 0.454 0.350
27 O 0.105 0.761 0.259
28 O 0.836 0.581 0.640
29 Mn 0.533 0.028 0.493
30 Mn 0.689 0.293 0.652
31 Mn 0.173 0.283 0.841
32 Mn 0.366 0.751 0.348
33 Mn 0.906 0.022 0.010
34 Mn 0.847 0.735 0.157
35 Mg 0.264 0.821 0.941

=====

*two*
VASP calculation (PBE+U) on crystalline Sr8MgMn6O20 at its relaxed geometry.

Computed properties:
The volume is 494.0 Å³/cell.

Cell: 5.686 6.673 14.220 Å, 94.35 83.90 112.86°
Fractional positions:
1 Sr 0.438 0.058 0.126
2 Sr 0.297 0.491 0.658
3 Sr 0.022 0.907 0.644
4 Sr 0.156 0.462 0.076
5 Sr 0.478 0.926 0.868
6 Sr 0.765 0.502 0.865
7 Sr 0.200 0.194 0.425
8 Sr 0.787 0.525 0.338
9 O 0.187 0.482 0.331
10 O 0.395 0.186 0.757
11 O 0.972 0.906 0.863
12 O 0.211 0.838 0.467
13 O 0.889 0.172 0.552
14 O 0.978 0.084 0.129
15 O 0.734 0.434 0.169
16 O 0.824 0.525 0.681
17 O 0.632 0.107 0.368
18 O 0.599 0.790 0.023
19 O 0.491 0.887 0.628
20 O 0.317 0.184 0.974
21 O 0.602 0.752 0.430
22 O 0.453 0.225 0.558
23 O 0.030 0.743 0.030
24 O 0.871 0.219 0.955
25 O 0.875 0.178 0.747
26 O 0.130 0.899 0.288
27 O 0.278 0.535 0.836
28 O 0.554 0.785 0.225
29 Mn 0.361 0.782 0.345
30 Mn 0.134 0.230 0.845
31 Mn 0.963 0.990 0.995
32 Mn 0.670 0.222 0.661
33 Mn 0.744 0.691 0.123
34 Mn 0.557 0.990 0.502
35 Mg 0.871 0.026 0.263

=====

*three*
VASP calculation (PBE+U) on crystalline Sr8MgMn6O20 at its relaxed geometry.

Computed properties:
The volume is 473.2 Å³/cell.

Cell: 5.559 6.807 13.748 Å, 90.59 90.82 114.53°
Fractional positions:
1 O 0.225 0.439 0.342
2 O 0.839 0.228 0.750
3 O 0.059 0.739 0.045
4 O 0.605 0.727 0.069
5 O 0.539 0.069 0.360
6 O 0.847 0.218 0.992
7 O 0.967 0.955 0.867
8 O 0.660 0.771 0.269
9 O 0.702 0.426 0.168
10 O 0.150 0.758 0.250
11 O 0.784 0.560 0.644
12 O 0.161 0.775 0.456
13 O 0.035 0.055 0.149
14 O 0.408 0.300 0.938
15 O 0.463 0.931 0.632
16 O 0.617 0.776 0.463
17 O 0.275 0.589 0.816
18 O 0.848 0.216 0.534
19 O 0.385 0.218 0.530
20 O 0.359 0.241 0.729
21 Sr 0.978 0.956 0.630
22 Sr 0.763 0.563 0.819
23 Sr 0.263 0.528 0.614
24 Sr 0.209 0.456 0.148
25 Sr 0.034 0.057 0.367
26 Sr 0.732 0.471 0.393
27 Sr 0.519 0.025 0.158
28 Sr 0.474 0.978 0.858
29 Mn 0.504 0.999 0.496
30 Mn 0.139 0.289 0.842
31 Mn 0.859 0.737 0.165
32 Mn 0.371 0.735 0.351
33 Mn 0.625 0.254 0.645
34 Mn 0.975 0.996 0.007
35 Mg 0.710 0.446 0.024

=====

Least stable: *two*